Entry 1:
## YbAgGe (r2SCAN)

Data for an optimized crystal structure of YbAgGe.

Results
Electronic total energy   -24.613 eV per atom
Calculated volume   177.4 Å³/cell
Space group   P-62m, No. 189

The structure in extended XYZ format:
```
9
Lattice="3.517 -6.091 0.000 3.517 6.091 0.000 0.000 0.000 4.141" Properties=species:S:1:pos:R:3 pbc="T T T"
Ge 3.517 -2.030 2.070
Yb 2.054 3.558 0.000
Ag 5.259 0.000 2.070
Yb 2.925 0.000 0.000
Ge 3.517 2.030 2.070
Yb 2.054 -3.558 0.000
Ag 0.887 -1.536 2.070
Ge 0.000 0.000 0.000
Ag 0.887 1.536 2.070
```

***

Entry 2:
## Gd3Y5O12 (r2SCAN)

Data for an optimized crystal structure of Gd3Y5O12.

Results
Electronic total energy   -19.016 eV per atom
Calculated volume   609.7 Å³/cell
Space group   P1, No. 1

The structure in extended XYZ format:
```
40
Lattice="-8.530 0.093 -3.564 0.962 -7.381 5.495 1.359 7.713 4.926" Properties=species:S:1:pos:R:3 pbc="T T T"
O -3.269 5.712 2.197
O 0.758 1.840 3.573
Gd -3.439 -3.306 3.613
O -6.986 -1.445 3.259
O -3.729 -1.529 2.084
Gd 1.516 0.497 7.852
Y -0.655 -1.635 6.026
O -2.948 -5.285 4.637
Gd -2.025 1.718 0.406
Gd -2.777 3.744 3.249
O -0.871 7.419 4.099
Y -7.708 -0.087 -1.002
O -1.728 -3.752 2.164
O -0.366 -3.720 6.870
O -1.326 0.185 1.980
O -2.499 1.969 4.799
Y -4.385 2.235 6.039
O -5.460 -3.858 2.652
Y -3.092 0.213 3.444
O 0.512 -1.832 4.104
O -0.595 0.510 6.772
O -5.634 -0.115 0.047
O 0.557 -5.348 4.325
O -5.363 -6.991 2.740
Y -8.045 -3.593 -0.812
Gd -5.560 2.062 0.827
Y -5.835 -1.935 1.368
O -5.854 4.197 -0.017
Gd -1.811 -1.815 0.820
O -0.746 4.255 4.191
Y -4.164 -1.279 6.455
O -2.534 -1.543 4.792
Y 1.639 -3.530 7.950
O -3.664 1.965 2.099
O -6.746 2.282 2.758
Y -0.385 2.348 5.483
O -4.844 0.236 4.912
O -6.707 5.784 2.541
O -4.481 4.163 4.706
Y -1.953 0.379 8.625
```

***

Entry 3:
## ScTaFe2 (r2SCAN)

Data for an optimized crystal structure of ScTaFe2.

Results
Electronic total energy   -22.180 eV per atom
Calculated volume   57.0 Å³/cell
Space group   Fm-3m, No. 225

The structure in extended XYZ format:
```
4
Lattice="-1.051 -2.507 3.355 -3.949 0.253 1.728 -2.797 -3.248 -0.525" Properties=species:S:1:pos:R:3 pbc="T T T"
Sc -1.949 -1.375 1.140
Fe -7.797 -5.501 4.558
Fe -3.899 -2.751 2.279
Ta -5.848 -4.126 3.419
```

***

Entry 4:
## HoMgAu2 (r2SCAN)

Data for an optimized crystal structure of HoMgAu2.

Results
Electronic total energy   -35.388 eV per atom
Calculated volume   80.6 Å³/cell
Space group   Fm-3m, No. 225

The structure in extended XYZ format:
```
4
Lattice="-4.523 0.247 1.727 -3.248 2.908 -2.120 -3.669 -1.904 -2.533" Properties=species:S:1:pos:R:3 pbc="T T T"
Au -5.720 0.626 -1.463
Au 0.000 0.000 0.000
Mg -8.580 0.939 -2.195
Ho -2.860 0.313 -0.732
```

***

Entry 5:
## Tm2PdRu (r2SCAN)

Data for an optimized crystal structure of Tm2PdRu.

Results
Electronic total energy   -30.425 eV per atom
Calculated volume   77.0 Å³/cell
Space group   Fm-3m, No. 225

The structure in extended XYZ format:
```
4
Lattice="-3.492 0.096 3.257 -3.787 -2.870 -0.474 -0.590 -3.686 2.978" Properties=species:S:1:pos:R:3 pbc="T T T"
Ru -5.902 -4.845 4.321
Pd -1.967 -1.615 1.440
Tm 0.000 0.000 0.000
Tm -3.935 -3.230 2.880
```

***

Entry 6:
## NdAsPd (r2SCAN)

Data for an optimized crystal structure of NdAsPd.

Results
Electronic total energy   -23.686 eV per atom
Calculated volume   128.9 Å³/cell
Space group   P6_3mc, No. 186

The structure in extended XYZ format:
```
6
Lattice="-1.510 -3.406 2.263 4.154 1.244 0.445 -2.061 4.793 5.839" Properties=species:S:1:pos:R:3 pbc="T T T"
Nd -1.030 2.396 2.919
As 0.701 3.334 5.486
Nd -2.060 4.793 5.839
Pd 1.772 0.844 2.452
As -0.157 -0.612 3.172
Pd -1.147 1.690 5.978
```

***

Entry 7:
## Ti6Ge5 (r2SCAN)

Data for an optimized crystal structure of Ti6Ge5.

Results
Electronic total energy   -14.065 eV per atom
Calculated volume   349.5 Å³/cell
Space group   C2/m, No. 12

The structure in extended XYZ format:
```
22
Lattice="-1.216 5.073 -0.166 1.349 0.067 -7.819 -8.146 -4.553 2.583" Properties=species:S:1:pos:R:3 pbc="T T T"
Ti -3.046 1.968 0.396
Ge -7.458 0.830 -2.064
Ge -0.555 -0.242 -3.338
Ge -7.710 -0.679 -5.361
Ti -4.967 -1.380 -5.798
Ge -4.269 -1.126 -3.155
Ge -3.744 1.714 -2.248
Ge -0.304 1.267 -0.041
Ti -2.145 -0.556 -1.283
Ti -0.015 -0.199 -5.978
Ge -0.901 2.307 -4.947
Ge -3.681 -0.851 0.977
Ti -7.998 0.787 0.576
Ti -4.682 -2.492 -0.830
Ti -6.740 -1.718 -3.125
Ti -2.724 0.543 -4.490
Ti -5.290 0.045 -0.913
Ti -1.273 2.305 -2.277
Ge -4.333 1.438 -6.379
Ge -7.112 -1.719 -0.456
Ti -5.869 1.144 -4.119
Ti -3.332 3.079 -4.573
```

***

Entry 8:
## TmZrCo2 (r2SCAN)

Data for an optimized crystal structure of TmZrCo2.

Results
Electronic total energy   -21.365 eV per atom
Calculated volume   68.6 Å³/cell
Space group   Fm-3m, No. 225

The structure in extended XYZ format:
```
4
Lattice="-3.912 -0.527 2.354 -2.237 3.685 1.594 -4.001 1.252 -1.882" Properties=species:S:1:pos:R:3 pbc="T T T"
Zr 0.000 0.000 0.000
Tm -5.075 2.205 1.033
Co -2.537 1.102 0.517
Co -7.612 3.307 1.550
```

***

Q: Which value of calculated volume does entry 6 give?
A: 128.9 Å³/cell

***

Q: Look up the electronic total energy of the second one.
A: -19.016 eV per atom